Compound: LiB2H11N2
Source: the Materials Project
Functional: PBE
Structure: relaxed

**ΔE_f**: -6.18 eV/f.u.

```
LiB2H11N2
1.0
15.0413 0.0000 0.0000
0.0000 5.1799 0.0000
0.0000 0.8585 7.0678
Li B H N
4 8 44 8
direct
0.9198 0.2927 0.0864 Li
0.4198 0.2073 0.9136 Li
0.0802 0.7073 0.9136 Li
0.5802 0.7927 0.0864 Li
0.3547 0.1271 0.5769 B
0.8547 0.3729 0.4231 B
0.6453 0.8729 0.4231 B
0.1453 0.6271 0.5769 B
0.4129 0.7404 0.0544 B
0.9129 0.7596 0.9456 B
0.5871 0.2596 0.9456 B
0.0871 0.2404 0.0544 B
0.3109 0.1119 0.7227 H
0.8109 0.3881 0.2773 H
0.6891 0.8881 0.2773 H
0.1891 0.6119 0.7227 H
0.3147 0.2488 0.4455 H
0.8147 0.2512 0.5545 H
0.6853 0.7512 0.5545 H
0.1853 0.7488 0.4455 H
0.4272 0.2269 0.5968 H
0.9272 0.2731 0.4032 H
0.5728 0.7731 0.4032 H
0.0728 0.7269 0.5968 H
0.3243 0.4251 0.1282 H
0.8243 0.0749 0.8718 H
0.6757 0.5749 0.8718 H
0.1757 0.9251 0.1282 H
0.3008 0.5791 0.9237 H
0.8008 0.9209 0.0763 H
0.6992 0.4209 0.0763 H
0.1992 0.0791 0.9237 H
0.3977 0.8327 0.3955 H
0.8977 0.6673 0.6045 H
0.6023 0.1673 0.6045 H
0.1023 0.3327 0.3955 H
0.4093 0.7323 0.6246 H
0.9093 0.7677 0.3754 H
0.5907 0.2677 0.3754 H
0.0907 0.2323 0.6246 H
0.3093 0.7432 0.5258 H
0.8093 0.7568 0.4742 H
0.6907 0.2568 0.4742 H
0.1907 0.2432 0.5258 H
0.4600 0.8234 0.9161 H
0.9600 0.6766 0.0839 H
0.5400 0.1766 0.0839 H
0.0400 0.3234 0.9161 H
0.4632 0.6611 0.1860 H
0.9632 0.8389 0.8140 H
0.5368 0.3389 0.8140 H
0.0368 0.1611 0.1860 H
0.3710 0.9290 0.1038 H
0.8710 0.5710 0.8962 H
0.6290 0.0710 0.8962 H
0.1290 0.4290 0.1038 H
0.3696 0.8383 0.5270 N
0.8696 0.6617 0.4730 N
0.6304 0.1617 0.4730 N
0.1304 0.3383 0.5270 N
0.3536 0.5129 0.0067 N
0.8536 0.9871 0.9933 N
0.6464 0.4871 0.9933 N
0.1464 0.0129 0.0067 N
```